Tb3Ga5 | PBE | relaxed

a b c (Å): 11.500 9.735 6.138
angles (deg): 90.00 90.00 90.00
Fractional coordinates of all 32 atoms:
Tb: 0.074 0.250 0.151
Tb: 0.148 0.509 0.610
Tb: 0.148 0.991 0.610
Tb: 0.352 0.009 0.110
Tb: 0.352 0.491 0.110
Tb: 0.426 0.750 0.651
Tb: 0.574 0.250 0.349
Tb: 0.648 0.509 0.890
Tb: 0.648 0.991 0.890
Tb: 0.852 0.009 0.390
Tb: 0.852 0.491 0.390
Tb: 0.926 0.750 0.849
Ga: 0.005 0.250 0.630
Ga: 0.091 0.553 0.125
Ga: 0.091 0.947 0.125
Ga: 0.201 0.750 0.898
Ga: 0.248 0.750 0.324
Ga: 0.252 0.250 0.824
Ga: 0.299 0.250 0.398
Ga: 0.409 0.053 0.625
Ga: 0.409 0.447 0.625
Ga: 0.495 0.750 0.130
Ga: 0.505 0.250 0.870
Ga: 0.591 0.553 0.375
Ga: 0.591 0.947 0.375
Ga: 0.701 0.750 0.602
Ga: 0.748 0.750 0.176
Ga: 0.752 0.250 0.676
Ga: 0.799 0.250 0.102
Ga: 0.909 0.053 0.875
Ga: 0.909 0.447 0.875
Ga: 0.995 0.750 0.370

---

TbGa3 | PBE | relaxed

a b c (Å): 6.301 6.301 4.571
angles (deg): 90.00 90.00 120.00
Fractional coordinates of all 8 atoms:
Tb: 0.333 0.667 0.250
Tb: 0.667 0.333 0.750
Ga: 0.148 0.296 0.750
Ga: 0.148 0.852 0.750
Ga: 0.296 0.148 0.250
Ga: 0.704 0.852 0.750
Ga: 0.852 0.148 0.250
Ga: 0.852 0.704 0.250

---

TbGa6 | PBE | relaxed

ΔE to the lowest computed polymorph = 0 meV/atom

a b c (Å): 6.018 6.018 7.571
angles (deg): 90.00 90.00 90.00
Fractional coordinates of all 14 atoms:
Tb: 0.250 0.750 0.000
Tb: 0.750 0.250 0.000
Ga: 0.055 0.555 0.347
Ga: 0.055 0.945 0.653
Ga: 0.250 0.250 0.161
Ga: 0.250 0.250 0.839
Ga: 0.445 0.555 0.653
Ga: 0.445 0.945 0.347
Ga: 0.555 0.055 0.653
Ga: 0.555 0.445 0.347
Ga: 0.750 0.750 0.161
Ga: 0.750 0.750 0.839
Ga: 0.945 0.055 0.347
Ga: 0.945 0.445 0.653

---

GaTc | PBE | relaxed

a b c (Å): 2.897 2.897 4.091
angles (deg): 90.00 90.00 120.00
Fractional coordinates of all 2 atoms:
Ga: 0.000 0.000 0.000
Tc: 0.667 0.333 0.500

---

Ga3Tc | PBE | relaxed

a b c (Å): 4.902 4.902 4.902
angles (deg): 133.77 133.77 67.44
Fractional coordinates of all 4 atoms:
Ga: 0.000 0.000 0.000
Ga: 0.250 0.750 0.500
Ga: 0.750 0.250 0.500
Tc: 0.500 0.500 0.000

---

Ti2GaTc | PBE | relaxed

a b c (Å): 4.433 4.433 4.433
angles (deg): 60.00 60.00 60.00
Fractional coordinates of all 4 atoms:
Ti: 0.250 0.250 0.250
Ti: 0.750 0.750 0.750
Ga: 0.000 0.000 0.000
Tc: 0.500 0.500 0.500

---

Ga7Te10 | PBE | relaxed

a b c (Å): 10.448 10.448 10.448
angles (deg): 89.71 89.71 89.71
Fractional coordinates of all 34 atoms:
Ga: 0.069 0.069 0.069
Ga: 0.078 0.386 0.347
Ga: 0.158 0.756 0.334
Ga: 0.244 0.842 0.666
Ga: 0.334 0.158 0.756
Ga: 0.347 0.078 0.386
Ga: 0.386 0.347 0.078
Ga: 0.614 0.922 0.653
Ga: 0.653 0.614 0.922
Ga: 0.666 0.244 0.842
Ga: 0.756 0.334 0.158
Ga: 0.842 0.666 0.244
Ga: 0.922 0.653 0.614
Ga: 0.931 0.931 0.931
Te: 0.000 0.416 0.584
Te: 0.061 0.737 0.815
Te: 0.074 0.575 0.171
Te: 0.171 0.074 0.575
Te: 0.185 0.263 0.939
Te: 0.263 0.939 0.185
Te: 0.324 0.676 0.500
Te: 0.333 0.333 0.333
Te: 0.416 0.584 0.000
Te: 0.425 0.926 0.829
Te: 0.500 0.324 0.676
Te: 0.575 0.171 0.074
Te: 0.584 0.000 0.416
Te: 0.667 0.667 0.667
Te: 0.676 0.500 0.324
Te: 0.737 0.815 0.061
Te: 0.815 0.061 0.737
Te: 0.829 0.425 0.926
Te: 0.926 0.829 0.425
Te: 0.939 0.185 0.263

---

GaTe | PBE | relaxed

a b c (Å): 4.135 4.135 18.426
angles (deg): 90.00 90.00 120.00
Fractional coordinates of all 8 atoms:
Ga: 0.333 0.667 0.183
Ga: 0.333 0.667 0.317
Ga: 0.667 0.333 0.683
Ga: 0.667 0.333 0.817
Te: 0.333 0.667 0.614
Te: 0.333 0.667 0.886
Te: 0.667 0.333 0.114
Te: 0.667 0.333 0.386

---

GaTe | PBE | relaxed

a b c (Å): 9.346 9.346 10.824
angles (deg): 106.05 106.05 25.66
Fractional coordinates of all 12 atoms:
Ga: 0.063 0.063 0.083
Ga: 0.262 0.262 0.698
Ga: 0.361 0.361 0.584
Ga: 0.639 0.639 0.416
Ga: 0.738 0.738 0.302
Ga: 0.937 0.937 0.917
Te: 0.044 0.044 0.324
Te: 0.337 0.337 0.327
Te: 0.347 0.347 0.946
Te: 0.653 0.653 0.054
Te: 0.663 0.663 0.673
Te: 0.956 0.956 0.676

---

Ga2Te5 | PBE | relaxed

a b c (Å): 6.769 6.769 6.769
angles (deg): 105.38 105.38 118.00
Fractional coordinates of all 7 atoms:
Ga: 0.250 0.750 0.500
Ga: 0.750 0.250 0.500
Te: 0.000 0.000 0.000
Te: 0.178 0.674 0.852
Te: 0.326 0.178 0.504
Te: 0.674 0.822 0.496
Te: 0.822 0.326 0.148

---

ZnGa2Te4 | PBE | relaxed

ΔE to the lowest computed polymorph = 296 meV/atom

a b c (Å): 6.982 6.982 6.982
angles (deg): 130.75 130.75 72.21
Fractional coordinates of all 7 atoms:
Zn: 0.000 0.000 0.000
Ga: 0.250 0.750 0.500
Ga: 0.500 0.500 0.000
Te: 0.003 0.503 0.500
Te: 0.248 0.248 0.000
Te: 0.497 0.997 0.500
Te: 0.752 0.752 0.000

---

Zn3Ga2Te6 | PBE | relaxed

a b c (Å): 7.523 7.523 8.665
angles (deg): 107.65 107.65 47.53
Fractional coordinates of all 11 atoms:
Zn: 0.000 0.000 0.000
Zn: 0.306 0.371 0.175
Zn: 0.629 0.694 0.825
Ga: 0.291 0.377 0.663
Ga: 0.623 0.709 0.337
Te: 0.202 0.796 0.730
Te: 0.204 0.798 0.270
Te: 0.554 0.113 0.916
Te: 0.578 0.109 0.425
Te: 0.887 0.446 0.084
Te: 0.891 0.422 0.575

---

Zn7Ga22Te40 | PBE | relaxed

a b c (Å): 4.597 4.599 145.564
angles (deg): 89.16 89.13 60.03
Fractional coordinates of all 69 atoms:
Zn: 0.000 0.000 0.000
Zn: 0.025 0.025 0.925
Zn: 0.250 0.250 0.250
Zn: 0.350 0.350 0.950
Zn: 0.375 0.375 0.876
Zn: 0.575 0.575 0.275
Zn: 0.700 0.700 0.900
Ga: 0.050 0.050 0.851
Ga: 0.075 0.075 0.775
Ga: 0.100 0.100 0.700
Ga: 0.125 0.125 0.625
Ga: 0.150 0.150 0.550
Ga: 0.175 0.175 0.475
Ga: 0.200 0.200 0.400
Ga: 0.225 0.225 0.324
Ga: 0.400 0.400 0.800
Ga: 0.425 0.425 0.725
Ga: 0.450 0.450 0.650
Ga: 0.475 0.475 0.575
Ga: 0.500 0.500 0.500
Ga: 0.525 0.525 0.425
Ga: 0.550 0.550 0.350
Ga: 0.725 0.725 0.825
Ga: 0.750 0.750 0.750
Ga: 0.775 0.775 0.675
Ga: 0.800 0.800 0.600
Ga: 0.825 0.825 0.525
Ga: 0.850 0.850 0.450
Ga: 0.875 0.875 0.375
Te: 0.019 0.019 0.943
Te: 0.044 0.043 0.870
Te: 0.069 0.069 0.794
Te: 0.094 0.093 0.719
Te: 0.119 0.118 0.644
Te: 0.144 0.143 0.569
Te: 0.169 0.168 0.494
Te: 0.194 0.194 0.419
Te: 0.219 0.219 0.344
Te: 0.244 0.244 0.269
Te: 0.269 0.269 0.194
Te: 0.293 0.293 0.119
Te: 0.319 0.319 0.044
Te: 0.344 0.344 0.968
Te: 0.369 0.369 0.894
Te: 0.394 0.393 0.819
Te: 0.419 0.418 0.744
Te: 0.444 0.444 0.669
Te: 0.469 0.468 0.594
Te: 0.494 0.493 0.519
Te: 0.519 0.518 0.444
Te: 0.544 0.543 0.369
Te: 0.569 0.569 0.293
Te: 0.594 0.594 0.219
Te: 0.619 0.619 0.144
Te: 0.644 0.644 0.069
Te: 0.668 0.668 0.995
Te: 0.694 0.694 0.919
Te: 0.718 0.718 0.845
Te: 0.744 0.743 0.769
Te: 0.769 0.768 0.694
Te: 0.794 0.793 0.619
Te: 0.819 0.818 0.544
Te: 0.844 0.843 0.469
Te: 0.869 0.868 0.394
Te: 0.894 0.894 0.318
Te: 0.918 0.918 0.244
Te: 0.944 0.944 0.169
Te: 0.969 0.969 0.094
Te: 0.994 0.994 0.018

---

ZnGa2Te4 | PBE | relaxed

ΔE to the lowest computed polymorph = 0 meV/atom
maximum piezoelectric response = 0.06 C/m2

a b c (Å): 7.388 7.388 7.388
angles (deg): 131.47 131.47 71.07
Fractional coordinates of all 7 atoms:
Zn: 0.000 0.000 0.000
Ga: 0.250 0.750 0.500
Ga: 0.500 0.500 0.000
Te: 0.103 0.600 0.969
Te: 0.400 0.369 0.503
Te: 0.631 0.134 0.031
Te: 0.866 0.897 0.497

---

Th3Ga2 | PBE | relaxed

a b c (Å): 8.017 8.017 4.218
angles (deg): 90.00 90.00 90.00
Fractional coordinates of all 10 atoms:
Th: 0.000 0.000 0.000
Th: 0.176 0.324 0.500
Th: 0.324 0.824 0.500
Th: 0.500 0.500 0.000
Th: 0.676 0.176 0.500
Th: 0.824 0.676 0.500
Ga: 0.119 0.619 0.000
Ga: 0.381 0.119 0.000
Ga: 0.619 0.881 0.000
Ga: 0.881 0.381 0.000

---

ThGa3 | PBE | relaxed

a b c (Å): 6.471 6.471 4.622
angles (deg): 90.00 90.00 120.00
Fractional coordinates of all 8 atoms:
Th: 0.333 0.667 0.250
Th: 0.667 0.333 0.750
Ga: 0.143 0.287 0.750
Ga: 0.143 0.857 0.750
Ga: 0.287 0.143 0.250
Ga: 0.713 0.857 0.750
Ga: 0.857 0.143 0.250
Ga: 0.857 0.713 0.250

---

Th2Ga | PBE | relaxed

a b c (Å): 6.083 6.083 6.083
angles (deg): 103.56 103.56 122.07
Fractional coordinates of all 6 atoms:
Th: 0.159 0.659 0.817
Th: 0.341 0.159 0.500
Th: 0.659 0.841 0.500
Th: 0.841 0.341 0.183
Ga: 0.250 0.250 0.000
Ga: 0.750 0.750 0.000

---

ThGa2 | PBE | relaxed

a b c (Å): 4.281 4.281 4.244
angles (deg): 90.00 90.00 120.00
Fractional coordinates of all 3 atoms:
Th: 0.000 0.000 0.000
Ga: 0.333 0.667 0.500
Ga: 0.667 0.333 0.500

---

ThGa2 | PBE | relaxed

a b c (Å): 7.978 7.978 7.978
angles (deg): 148.94 148.94 44.49
Fractional coordinates of all 6 atoms:
Th: 0.375 0.625 0.750
Th: 0.625 0.375 0.250
Ga: 0.042 0.792 0.250
Ga: 0.208 0.958 0.250
Ga: 0.792 0.042 0.750
Ga: 0.958 0.208 0.750

---

Ti3Ga | PBE | relaxed

a b c (Å): 5.698 5.698 4.651
angles (deg): 90.00 90.00 120.00
Fractional coordinates of all 8 atoms:
Ti: 0.170 0.340 0.250
Ti: 0.170 0.830 0.250
Ti: 0.340 0.170 0.750
Ti: 0.660 0.830 0.250
Ti: 0.830 0.170 0.750
Ti: 0.830 0.660 0.750
Ga: 0.333 0.667 0.750
Ga: 0.667 0.333 0.250

---

Number 1: energy of formation from the pure elements -5.30 eV/f.u.. Number 2: energy of formation from the pure elements -2.16 eV/f.u.. Number 3: energy of formation from the pure elements -2.16 eV/f.u.. Number 4: energy of formation from the pure elements -0.19 eV/f.u.. Number 5: energy of formation from the pure elements -0.23 eV/f.u.. Number 6: energy of formation from the pure elements -1.86 eV/f.u.. Number 7: energy of formation from the pure elements -9.81 eV/f.u.. Number 8: energy of formation from the pure elements -1.15 eV/f.u.. Number 9: energy of formation from the pure elements -1.14 eV/f.u.. Number 10: energy of formation from the pure elements -3.79 eV/f.u.. Number 11: energy of formation from the pure elements -2.31 eV/f.u.. Number 12: energy of formation from the pure elements -6.99 eV/f.u.. Number 13: energy of formation from the pure elements -6.81 eV/f.u.. Number 14: energy of formation from the pure elements -4.38 eV/f.u.. Number 15: energy of formation from the pure elements -2.05 eV/f.u.. Number 16: energy of formation from the pure elements -2.11 eV/f.u.. Number 17: energy of formation from the pure elements -1.10 eV/f.u.. Number 18: energy of formation from the pure elements -1.91 eV/f.u.. Number 19: energy of formation from the pure elements -1.92 eV/f.u.. Number 20: energy of formation from the pure elements -1.29 eV/f.u..